Density functional theory data (PBE+U) for a relaxed structure of Sr2Ca2TiMn3O10.

Unit cell a=11.082 b=11.283 c=17.500 alpha=108.77 beta=108.56 gamma=90.05
Positions (direct):
Mn  0.361  0.904  0.750
O  0.128  0.116  0.491
Mn  0.604  0.091  0.243
O  0.393  0.884  0.018
O  0.573  0.579  0.631
O  0.823  0.794  0.628
Ti  0.755  0.749  0.002
O  0.686  0.938  0.753
Mn  0.859  0.411  0.757
Sr  0.560  0.797  0.610
Ti  0.004  0.998  0.999
Mn  0.856  0.405  0.246
O  0.876  0.618  0.988
O  0.394  0.394  0.018
O  0.327  0.288  0.630
O  0.878  0.118  0.993
O  0.172  0.419  0.240
Mn  0.609  0.592  0.246
O  0.191  0.205  0.865
O  0.884  0.877  0.505
Ca  0.803  0.569  0.114
Ca  0.448  0.704  0.391
O  0.587  0.600  0.127
O  0.336  0.292  0.138
O  0.420  0.072  0.744
O  0.879  0.376  0.504
Ti  0.503  0.503  0.002
Ca  0.804  0.067  0.108
Mn  0.753  0.249  0.498
Sr  0.197  0.437  0.388
Ca  0.443  0.706  0.891
Sr  0.060  0.299  0.610
O  0.683  0.189  0.359
Ca  0.195  0.933  0.391
O  0.378  0.109  0.991
Ca  0.947  0.707  0.392
Mn  0.255  0.246  0.499
O  0.376  0.621  0.488
Mn  0.356  0.407  0.249
Ca  0.305  0.061  0.605
Sr  0.060  0.799  0.609
Sr  0.810  0.560  0.610
Sr  0.441  0.199  0.886
O  0.954  0.904  0.876
O  0.122  0.625  0.485
Mn  0.004  0.501  0.498
O  0.185  0.196  0.362
Mn  0.113  0.092  0.750
O  0.080  0.078  0.633
O  0.922  0.571  0.249
O  0.934  0.574  0.761
O  0.320  0.791  0.627
Sr  0.309  0.561  0.610
Mn  0.357  0.902  0.248
Sr  0.698  0.439  0.388
Mn  0.116  0.603  0.754
Mn  0.613  0.596  0.755
Ca  0.056  0.288  0.109
O  0.124  0.626  0.989
Sr  0.808  0.060  0.608
O  0.445  0.907  0.370
O  0.384  0.883  0.510
Mn  0.504  0.501  0.499
Mn  0.007  0.997  0.498
O  0.185  0.438  0.753
Ti  0.503  0.998  0.498
Sr  0.447  0.201  0.387
O  0.672  0.417  0.238
Mn  0.755  0.748  0.497
O  0.073  0.583  0.632
O  0.674  0.929  0.239
O  0.433  0.583  0.760
Sr  0.695  0.936  0.888
O  0.948  0.909  0.368
O  0.944  0.416  0.873
Ca  0.554  0.794  0.110
O  0.836  0.289  0.130
O  0.422  0.069  0.239
Ca  0.304  0.563  0.113
O  0.332  0.776  0.127
O  0.642  0.878  0.017
Ca  0.052  0.800  0.113
O  0.131  0.391  0.016
Mn  0.109  0.596  0.250
O  0.143  0.881  0.019
O  0.208  0.721  0.877
O  0.938  0.072  0.751
O  0.182  0.933  0.761
O  0.083  0.090  0.133
Mn  0.608  0.101  0.749
Mn  0.862  0.903  0.246
Mn  0.105  0.091  0.247
Sr  0.558  0.300  0.610
Ti  0.501  0.997  0.001
O  0.461  0.412  0.878
O  0.837  0.778  0.127
Sr  0.699  0.936  0.387
Ti  0.751  0.254  0.002
O  0.623  0.120  0.490
O  0.935  0.415  0.362
Mn  0.866  0.904  0.750
O  0.621  0.623  0.488
O  0.699  0.219  0.878
O  0.873  0.624  0.489
O  0.629  0.621  0.988
Ti  0.006  0.505  0.009
O  0.455  0.908  0.877
O  0.924  0.073  0.240
Sr  0.947  0.199  0.388
O  0.712  0.714  0.876
Ca  0.197  0.937  0.893
Mn  0.256  0.750  0.498
Ca  0.300  0.071  0.110
O  0.137  0.880  0.506
O  0.630  0.375  0.503
O  0.422  0.569  0.247
O  0.080  0.603  0.129
O  0.435  0.418  0.364
O  0.370  0.112  0.486
Ca  0.944  0.702  0.893
O  0.825  0.309  0.642
O  0.628  0.125  0.994
O  0.683  0.426  0.760
Ca  0.699  0.438  0.894
O  0.892  0.884  0.017
O  0.134  0.372  0.505
O  0.585  0.093  0.129
O  0.631  0.876  0.505
O  0.643  0.383  0.019
Mn  0.256  0.252  0.002
O  0.574  0.084  0.625
O  0.876  0.121  0.494
O  0.698  0.702  0.368
Sr  0.192  0.437  0.889
O  0.380  0.621  0.988
O  0.380  0.375  0.503
Ca  0.548  0.291  0.109
O  0.888  0.389  0.017
O  0.170  0.928  0.248
Mn  0.367  0.407  0.753
O  0.204  0.714  0.370
Ti  0.253  0.752  0.005
Sr  0.949  0.205  0.890
O  0.124  0.113  0.993

Values from the calculation:
Total energy in eV per cell: -1048.6
V in Å³/atom: 13.55
ΔH_f (0 K) in kJ/mol of atoms: -272
Space group: No. 1